Material: DyInO3
Method: DFT, PBE
State: relaxed

Output
M_tot = 0.000 μB per cell
Theoretical density = 7715 kg/m3
ΔH_f (0 K) = -2305 meV/atom
Final energy = -6.333 eV/atom

Unit cell a=4.1217 b=4.1217 c=4.1217 alpha=90.00 beta=90.00 gamma=90.00
Last column: nearest neighbours and their distance in Å.
Fractional positions:
O 0.0000 0.5000 0.5000  2 In 2.06
O 0.5000 0.0000 0.5000  2 In 2.06
O 0.5000 0.5000 0.0000  2 In 2.06
In 0.5000 0.5000 0.5000  6 O 2.06
Dy 0.0000 0.0000 0.0000  12 O 2.91

=====

Material: DyInO3
Method: DFT, PBE
State: relaxed

Output
Theoretical density = 7469 kg/m3
ΔH_f (0 K) = -2999 meV/atom
Final energy = -7.027 eV/atom

Unit cell a=6.3722 b=6.3722 c=12.3401 alpha=90.00 beta=90.00 gamma=120.00
Last column: nearest neighbours and their distance in Å.
Fractional positions:
O 0.0000 0.6370 0.3255  1 In 2.11, 2 Dy 2.35
O 0.6667 0.3333 0.5271  3 In 2.16
O 0.6667 0.3333 0.0271  3 In 2.16
O 0.0000 0.0000 0.4620  3 In 2.17, 1 Dy 2.42
O 0.3333 0.6667 0.0271  3 In 2.16
O 0.3630 0.3630 0.3255  1 In 2.11, 2 Dy 2.35
O 0.0000 0.3630 0.8255  1 In 2.11, 2 Dy 2.35
O 0.0000 0.0000 0.9620  3 In 2.17, 1 Dy 2.42
O 0.6944 0.6944 0.1684  1 In 2.14, 3 Dy 2.29-2.35
O 0.3333 0.6667 0.5271  3 In 2.16
O 0.0000 0.3056 0.1684  1 In 2.14, 3 Dy 2.29-2.35
O 0.0000 0.6944 0.6684  1 In 2.14, 3 Dy 2.29-2.35
O 0.6370 0.0000 0.3255  1 In 2.11, 2 Dy 2.35
O 0.3630 0.0000 0.8255  1 In 2.11, 2 Dy 2.35
O 0.6370 0.6370 0.8255  1 In 2.11, 2 Dy 2.35
O 0.3056 0.3056 0.6684  1 In 2.14, 3 Dy 2.29-2.35
O 0.6944 0.0000 0.6684  1 In 2.14, 3 Dy 2.29-2.35
O 0.3056 0.0000 0.1684  1 In 2.14, 3 Dy 2.29-2.35
In 0.0000 0.6664 0.4959  5 O 2.11-2.17
In 0.3336 0.3336 0.4959  5 O 2.11-2.17
In 0.6664 0.0000 0.4959  5 O 2.11-2.17
In 0.0000 0.3336 0.9959  5 O 2.11-2.17
In 0.6664 0.6664 0.9959  5 O 2.11-2.17
In 0.3336 0.0000 0.9959  5 O 2.11-2.17
Dy 0.3333 0.6667 0.7301  7 O 2.35-2.51
Dy 0.0000 0.0000 0.7656  7 O 2.29-2.43
Dy 0.6667 0.3333 0.7301  7 O 2.35-2.51
Dy 0.6667 0.3333 0.2301  7 O 2.35-2.51
Dy 0.0000 0.0000 0.2656  7 O 2.29-2.43
Dy 0.3333 0.6667 0.2301  7 O 2.35-2.51

=====

Material: DyInO3
Method: DFT, PBE
State: relaxed

Output
M_tot = 0.000 μB per cell
Theoretical density = 8143 kg/m3
ΔH_f (0 K) = -2939 meV/atom
Final energy = -6.968 eV/atom

Unit cell a=5.5218 b=5.8666 c=8.1915 alpha=90.00 beta=90.00 gamma=90.00
Last column: nearest neighbours and their distance in Å.
Fractional positions:
Dy 0.0211 0.9350 0.7500  4 O 2.22-2.32
Dy 0.4789 0.4350 0.7500  4 O 2.22-2.32
Dy 0.5211 0.5650 0.2500  4 O 2.22-2.32
Dy 0.9789 0.0650 0.2500  4 O 2.22-2.32
O 0.1458 0.4281 0.2500  2 Dy 2.22-2.32, 2 In 2.24
O 0.3166 0.6870 0.5740  2 In 2.15-2.18, 1 Dy 2.25
O 0.1834 0.1870 0.9260  2 In 2.15-2.18, 1 Dy 2.25
O 0.6834 0.3130 0.0740  2 In 2.15-2.18, 1 Dy 2.25
O 0.6834 0.3130 0.4260  2 In 2.15-2.18, 1 Dy 2.25
O 0.3166 0.6870 0.9260  2 In 2.15-2.18, 1 Dy 2.25
O 0.3542 0.9281 0.2500  2 Dy 2.22-2.32, 2 In 2.24
O 0.8542 0.5719 0.7500  2 Dy 2.22-2.32, 2 In 2.24
O 0.8166 0.8130 0.4260  2 In 2.15-2.18, 1 Dy 2.25
O 0.6458 0.0719 0.7500  2 Dy 2.22-2.32, 2 In 2.24
O 0.8166 0.8130 0.0740  2 In 2.15-2.18, 1 Dy 2.25
O 0.1834 0.1870 0.5740  2 In 2.15-2.18, 1 Dy 2.25
In 0.0000 0.5000 0.5000  6 O 2.15-2.24
In 0.5000 0.0000 0.0000  6 O 2.15-2.24
In 0.0000 0.5000 0.0000  6 O 2.15-2.24
In 0.5000 0.0000 0.5000  6 O 2.15-2.24

=====

Material: DyIn2Pd
Method: DFT, PBE
State: relaxed

Output
Theoretical density = 9346 kg/m3
ΔH_f (0 K) = -653 meV/atom
Final energy = -4.476 eV/atom

Unit cell a=10.8442 b=10.8442 c=10.8442 alpha=100.31 beta=100.31 gamma=129.95
Last column: nearest neighbours and their distance in Å.
Fractional positions:
In 0.3585 0.0929 0.0000  3 Pd 2.83-2.88, 2 Dy 3.15
In 0.7748 0.9838 0.5068  3 Pd 2.86-2.90, 3 In 3.03-3.17, 2 Dy 3.19
In 0.8809 0.7194 0.1615  3 Pd 2.81-2.91
In 0.2680 0.7748 0.7910  3 Pd 2.86-2.90, 3 In 3.03-3.17, 2 Dy 3.19
In 0.2680 0.4770 0.4932  3 Pd 2.86-2.90, 3 In 3.03-3.17, 2 Dy 3.19
In 0.4828 0.8650 0.6178  3 Pd 2.78-2.82, 2 In 3.03
In 0.9838 0.7748 0.5068  3 Pd 2.86-2.90, 3 In 3.03-3.17, 2 Dy 3.19
In 0.8650 0.2472 0.3822  3 Pd 2.78-2.82, 2 In 3.03
In 0.8650 0.4828 0.6178  3 Pd 2.78-2.82, 2 In 3.03
In 0.7194 0.8809 0.1615  3 Pd 2.81-2.91
In 0.0929 0.3585 0.0000  3 Pd 2.83-2.88, 2 Dy 3.15
In 0.4770 0.9838 0.2090  3 Pd 2.86-2.90, 3 In 3.03-3.17, 2 Dy 3.19
In 0.2472 0.8650 0.3822  3 Pd 2.78-2.82, 2 In 3.03
In 0.7194 0.5579 0.8385  3 Pd 2.81-2.91
In 0.7748 0.2680 0.7910  3 Pd 2.86-2.90, 3 In 3.03-3.17, 2 Dy 3.19
In 0.5579 0.7194 0.8385  3 Pd 2.81-2.91
In 0.9838 0.4770 0.2090  3 Pd 2.86-2.90, 3 In 3.03-3.17, 2 Dy 3.19
In 0.0929 0.0929 0.7344  3 Pd 2.83-2.88, 2 Dy 3.15
In 0.4770 0.2680 0.4932  3 Pd 2.86-2.90, 3 In 3.03-3.17, 2 Dy 3.19
In 0.3585 0.3585 0.2656  3 Pd 2.83-2.88, 2 Dy 3.15
Pd 0.6145 0.1145 0.5000  8 In 2.81-2.86
Pd 0.6948 0.3729 0.0000  5 In 2.81-2.88, 3 Dy 3.06-3.10
Pd 0.2399 0.0267 0.2133  6 In 2.78-2.91, 1 Dy 2.98
Pd 0.1145 0.6145 0.5000  8 In 2.81-2.86
Pd 0.3729 0.3729 0.6781  5 In 2.81-2.88, 3 Dy 3.06-3.10
Pd 0.6948 0.6948 0.3219  5 In 2.81-2.88, 3 Dy 3.06-3.10
Pd 0.0267 0.8134 0.7867  6 In 2.78-2.91, 1 Dy 2.98
Pd 0.8134 0.0267 0.7867  6 In 2.78-2.91, 1 Dy 2.98
Pd 0.3729 0.6948 0.0000  5 In 2.81-2.88, 3 Dy 3.06-3.10
Pd 0.0267 0.2399 0.2133  6 In 2.78-2.91, 1 Dy 2.98
Dy 0.3883 0.6704 0.2821  3 Pd 3.10-3.45, 9 In 3.15-3.47
Dy 0.6753 0.6753 0.5963  4 Pd 3.06-3.25, 6 In 3.19-3.25
Dy 0.3883 0.1062 0.7179  3 Pd 3.10-3.45, 9 In 3.15-3.47
Dy 0.6704 0.3883 0.2821  3 Pd 3.10-3.45, 9 In 3.15-3.47
Dy 0.1062 0.3883 0.7179  3 Pd 3.10-3.45, 9 In 3.15-3.47
Dy 0.0790 0.6753 0.0000  4 Pd 3.06-3.25, 6 In 3.19-3.25
Dy 0.9958 0.9958 0.0000  4 Pd 2.98
Dy 0.6753 0.0790 0.0000  4 Pd 3.06-3.25, 6 In 3.19-3.25
Dy 0.4569 0.4569 0.0000  4 Pd 3.24, 8 In 3.29-3.36
Dy 0.0790 0.0790 0.4037  4 Pd 3.06-3.25, 6 In 3.19-3.25